This record from the Materials Project describes an optimized crystal structure of NaAlCl4. The functional is PBE-GGA.

a b c (Å): 6.2805 10.0326 10.6134
angles (deg): 90.00 90.00 90.00
With the nearest neighbours (Å) after each atom.
Positions (direct):
Cl 0.2987 0.7386 0.2167  1 Al 2.16
Cl 0.8239 0.9153 0.1281  1 Al 2.17
Cl 0.7013 0.2386 0.2833  1 Al 2.16
Cl 0.6766 0.2694 0.9011  1 Al 2.16
Cl 0.3234 0.7694 0.5989  1 Al 2.16
Cl 0.3239 0.5847 0.8719  1 Al 2.17
Cl 0.1459 0.0652 0.3957  1 Al 2.16
Cl 0.6459 0.4348 0.6043  1 Al 2.16
Cl 0.1766 0.2306 0.0989  1 Al 2.16
Cl 0.8541 0.5652 0.1043  1 Al 2.16
Cl 0.1761 0.4153 0.3719  1 Al 2.17
Cl 0.7987 0.7614 0.7833  1 Al 2.16
Cl 0.6761 0.0847 0.6281  1 Al 2.17
Cl 0.2013 0.2614 0.7167  1 Al 2.16
Cl 0.3541 0.9348 0.8957  1 Al 2.16
Cl 0.8234 0.7306 0.4011  1 Al 2.16
Na 0.9342 0.0336 0.8732  5 Cl 2.83-3.11
Na 0.5658 0.9664 0.3732  5 Cl 2.83-3.11
Na 0.4342 0.4664 0.1268  5 Cl 2.83-3.11
Na 0.0658 0.5336 0.6268  5 Cl 2.83-3.11
Al 0.4546 0.7639 0.7874  4 Cl 2.16-2.17
Al 0.9546 0.7361 0.2126  4 Cl 2.16-2.17
Al 0.5454 0.2639 0.7126  4 Cl 2.16-2.17
Al 0.0454 0.2361 0.2874  4 Cl 2.16-2.17

Results
Energy of formation from the pure elements = -2.07 eV per atom
Space group = P2_12_12_1 (19)
V = 668.7 Å³ per cell
Crystal system = orthorhombic

=====

This record from the Materials Project describes an optimized crystal structure of Na4Al6ClO12. The functional is PBE-GGA.

a b c (Å): 8.0046 8.0046 8.0046
angles (deg): 109.47 109.47 109.47
With the nearest neighbours (Å) after each atom.
Positions (direct):
O 0.7212 0.4276 0.4276  2 Al 1.76
O 0.2788 0.7064 0.7064  2 Al 1.76
O 0.5724 0.2936 0.0000  2 Al 1.76
O 0.7064 0.2788 0.7064  2 Al 1.76
O 0.7064 0.7064 0.2788  2 Al 1.76
O 0.2936 0.0000 0.5724  2 Al 1.76
O 0.0000 0.5724 0.2936  2 Al 1.76
O 0.0000 0.2936 0.5724  2 Al 1.76
O 0.5724 0.0000 0.2936  2 Al 1.76
O 0.2936 0.5724 0.0000  2 Al 1.76
O 0.4276 0.4276 0.7212  2 Al 1.76
O 0.4276 0.7212 0.4276  2 Al 1.76
Na 0.0000 0.3503 0.0000  3 O 2.43
Na 0.0000 0.0000 0.3503  3 O 2.43
Na 0.6497 0.6497 0.6497  3 O 2.43
Na 0.3503 0.0000 0.0000  3 O 2.43
Al 0.5000 0.2500 0.7500  4 O 1.76
Al 0.7500 0.2500 0.5000  4 O 1.76
Al 0.7500 0.5000 0.2500  4 O 1.76
Al 0.2500 0.5000 0.7500  4 O 1.76
Al 0.5000 0.7500 0.2500  4 O 1.76
Al 0.2500 0.7500 0.5000  4 O 1.76
Cl 0.0000 0.0000 0.0000  4 Na 2.80

Results
Energy of formation from the pure elements = -2.70 eV per atom
Space group = I-43m (217)
V = 394.8 Å³ per cell
Total magnetic moment = 3.00 μB per formula unit
Crystal system = cubic